Entry 1:
A relaxed NbVH4 crystal. Source: Materials Project, functional PBE-GGA.

Geometry as POSCAR:
```
NbVH4
1.0
3.118 0.000 0.000
0.000 3.118 0.000
0.000 0.000 4.410
Nb V H
1 1 4
Direct
0.000 0.000 0.000 Nb
0.500 0.500 0.500 V
0.000 0.500 0.273 H
0.000 0.500 0.727 H
0.500 0.000 0.273 H
0.500 0.000 0.727 H
```

## Properties
Symmetry: P4/mmm, No. 123
DFT formation energy (eV per atom): -0.319

Entry 2:
A relaxed Na5ZrAl3Si3S3O24 crystal. Source: Materials Project, functional PBE-GGA.

Geometry as POSCAR:
```
Na5ZrAl3Si3S3O24
1.0
8.761 0.000 0.000
4.340 7.618 0.000
0.210 0.172 22.084
Na Zr Al Si S O
15 3 9 9 9 72
Direct
0.000 0.000 0.000 Na
0.001 0.735 0.500 Na
0.283 0.412 0.335 Na
0.300 0.731 0.419 Na
0.309 0.728 0.920 Na
0.321 0.345 0.665 Na
0.330 0.067 0.166 Na
0.343 0.373 0.012 Na
0.621 0.366 0.514 Na
0.642 0.044 0.591 Na
0.643 0.029 0.090 Na
0.945 0.084 0.672 Na
0.955 0.700 0.178 Na
0.961 0.381 0.758 Na
0.961 0.391 0.259 Na
0.660 0.040 0.441 Zr
0.665 0.021 0.937 Zr
0.985 0.384 0.111 Zr
0.001 0.373 0.405 Al
0.009 0.348 0.904 Al
0.314 0.699 0.271 Al
0.318 0.698 0.567 Al
0.327 0.708 0.774 Al
0.334 0.699 0.068 Al
0.654 0.023 0.232 Al
0.662 0.061 0.740 Al
0.976 0.367 0.605 Al
0.006 0.084 0.506 Si
0.266 0.375 0.509 Si
0.281 0.069 0.006 Si
0.341 0.411 0.173 Si
0.594 0.708 0.175 Si
0.607 0.428 0.672 Si
0.951 0.740 0.335 Si
0.966 0.041 0.834 Si
0.997 0.656 0.001 Si
0.025 0.708 0.672 S
0.028 0.987 0.173 S
0.327 0.990 0.672 S
0.357 0.036 0.336 S
0.357 0.339 0.834 S
0.653 0.747 0.831 S
0.658 0.337 0.335 S
0.695 0.383 0.001 S
0.699 0.653 0.506 S
0.009 0.549 0.667 O
0.012 0.164 0.170 O
0.013 0.188 0.446 O
0.017 0.527 0.945 O
0.102 0.743 0.616 O
0.103 0.885 0.117 O
0.139 0.904 0.227 O
0.141 0.681 0.725 O
0.149 0.164 0.950 O
0.150 0.719 0.330 O
0.152 0.412 0.447 O
0.156 0.862 0.824 O
0.163 0.384 0.170 O
0.167 0.170 0.668 O
0.168 0.358 0.570 O
0.173 0.673 0.009 O
0.173 0.885 0.515 O
0.182 0.354 0.840 O
0.183 0.201 0.342 O
0.197 0.188 0.067 O
0.288 0.536 0.232 O
0.293 0.909 0.725 O
0.296 0.548 0.514 O
0.298 0.878 0.014 O
0.333 0.883 0.331 O
0.341 0.513 0.827 O
0.350 0.885 0.616 O
0.353 0.504 0.110 O
0.442 0.068 0.282 O
0.447 0.222 0.781 O
0.462 0.259 0.890 O
0.464 0.014 0.391 O
0.466 0.071 0.998 O
0.466 0.203 0.504 O
0.475 0.744 0.115 O
0.482 0.014 0.678 O
0.483 0.512 0.611 O
0.495 0.696 0.235 O
0.496 0.726 0.826 O
0.497 0.512 0.332 O
0.503 0.548 0.729 O
0.508 0.213 0.183 O
0.520 0.539 0.007 O
0.522 0.674 0.513 O
0.619 0.850 0.888 O
0.623 0.261 0.393 O
0.626 0.224 0.679 O
0.631 0.877 0.179 O
0.668 0.226 0.995 O
0.670 0.850 0.780 O
0.679 0.222 0.284 O
0.682 0.831 0.502 O
0.778 0.550 0.451 O
0.782 0.403 0.947 O
0.793 0.534 0.172 O
0.802 0.342 0.056 O
0.809 0.574 0.561 O
0.810 0.395 0.664 O
0.813 0.577 0.837 O
0.816 0.352 0.344 O
0.822 0.847 0.278 O
0.829 0.055 0.500 O
0.829 0.858 0.999 O
0.835 0.068 0.776 O
0.848 0.867 0.678 O
0.851 0.008 0.179 O
0.865 0.852 0.398 O
0.875 0.006 0.895 O
0.951 0.204 0.567 O
0.955 0.588 0.065 O
0.972 0.222 0.845 O
0.973 0.542 0.345 O
```

## Properties
Symmetry: P1, No. 1
DFT formation energy (eV per atom): -2.675

- Which of these has the lowest DFT formation energy?
  Na5ZrAl3Si3S3O24

- Among the records above, which one has the lowest DFT formation energy?
  Na5ZrAl3Si3S3O24

- Look up the DFT formation energy of the second one.
  -2.675 eV per atom

- Among the records above, which one has the highest DFT formation energy?
  NbVH4